(1)
Entry from the Materials Project database: a geometry-optimized NdU2S5 structure (PBE).

Output
Its density is 7389 kg/m³. The formation energy comes out at -1934 meV/atom.

Lattice parameters (Å, degrees): 11.786 7.434 8.009 90.00 90.00 90.00
Fractional coordinates of all 32 atoms:
1 Nd 0.178 0.024 0.000
2 Nd 0.322 0.524 0.500
3 Nd 0.678 0.476 0.000
4 Nd 0.822 0.976 0.500
5 U 0.008 0.575 0.750
6 U 0.180 0.020 0.502
7 U 0.320 0.520 0.002
8 U 0.492 0.075 0.250
9 U 0.508 0.925 0.750
10 U 0.680 0.480 0.502
11 U 0.820 0.980 0.002
12 U 0.992 0.425 0.250
13 S 0.001 0.959 0.752
14 S 0.095 0.670 0.455
15 S 0.099 0.657 0.043
16 S 0.187 0.330 0.750
17 S 0.216 0.300 0.251
18 S 0.284 0.800 0.751
19 S 0.313 0.830 0.250
20 S 0.401 0.157 0.543
21 S 0.405 0.170 0.955
22 S 0.499 0.459 0.252
23 S 0.501 0.541 0.752
24 S 0.595 0.830 0.455
25 S 0.599 0.843 0.043
26 S 0.687 0.170 0.750
27 S 0.716 0.200 0.251
28 S 0.784 0.700 0.751
29 S 0.813 0.670 0.250
30 S 0.901 0.343 0.543
31 S 0.905 0.330 0.955
32 S 0.999 0.041 0.252

(2)
Entry from the Materials Project database: a geometry-optimized PuNi3 structure (PBE).

Output
Its density is 11808 kg/m³. The formation energy comes out at -243 meV/atom.

Lattice parameters (Å, degrees): 8.731 8.731 8.731 33.15 33.15 33.15
Fractional coordinates of all 12 atoms:
1 Pu 0.000 0.000 0.000
2 Pu 0.143 0.143 0.143
3 Pu 0.857 0.857 0.857
4 Ni 0.082 0.582 0.582
5 Ni 0.333 0.333 0.333
6 Ni 0.418 0.418 0.918
7 Ni 0.418 0.918 0.418
8 Ni 0.500 0.500 0.500
9 Ni 0.582 0.082 0.582
10 Ni 0.582 0.582 0.082
11 Ni 0.667 0.667 0.667
12 Ni 0.918 0.418 0.418

(3)
Entry from the Materials Project database: a geometry-optimized CeGa3Pd structure (PBE).

Output
Its density is 7756 kg/m³. The formation energy comes out at -685 meV/atom.

Lattice parameters (Å, degrees): 6.065 6.065 5.916 90.00 90.00 116.27
Fractional coordinates of all 10 atoms:
1 Ce 0.234 0.766 0.750
2 Ce 0.766 0.234 0.250
3 Ga 0.284 0.284 0.000
4 Ga 0.284 0.284 0.500
5 Ga 0.335 0.665 0.250
6 Ga 0.665 0.335 0.750
7 Ga 0.716 0.716 0.000
8 Ga 0.716 0.716 0.500
9 Pd 0.094 0.906 0.250
10 Pd 0.906 0.094 0.750

(4)
Entry from the Materials Project database: a geometry-optimized CaMnSn structure (PBE).

Output
Its density is 4707 kg/m³. The formation energy comes out at -250 meV/atom.

Lattice parameters (Å, degrees): 4.529 4.529 7.353 90.00 90.00 90.00
Fractional coordinates of all 6 atoms:
1 Ca 0.250 0.250 0.176
2 Ca 0.750 0.750 0.824
3 Mn 0.250 0.750 0.500
4 Mn 0.750 0.250 0.500
5 Sn 0.250 0.250 0.718
6 Sn 0.750 0.750 0.282

(5)
Entry from the Materials Project database: a geometry-optimized Sb5PO10 structure (PBE).

Output
Its density is 5198 kg/m³. The formation energy comes out at -1971 meV/atom.

Lattice parameters (Å, degrees): 6.898 7.281 20.345 90.00 90.00 90.00
Fractional coordinates of all 64 atoms:
1 Sb 0.088 0.237 0.145
2 Sb 0.095 0.490 0.804
3 Sb 0.108 0.532 0.500
4 Sb 0.124 0.730 0.189
5 Sb 0.149 0.972 0.839
6 Sb 0.351 0.028 0.339
7 Sb 0.376 0.270 0.689
8 Sb 0.392 0.468 0.000
9 Sb 0.405 0.510 0.304
10 Sb 0.412 0.763 0.645
11 Sb 0.588 0.263 0.855
12 Sb 0.595 0.010 0.196
13 Sb 0.608 0.968 0.500
14 Sb 0.624 0.770 0.811
15 Sb 0.649 0.528 0.161
16 Sb 0.851 0.472 0.661
17 Sb 0.876 0.230 0.311
18 Sb 0.892 0.032 0.000
19 Sb 0.905 0.990 0.696
20 Sb 0.912 0.737 0.355
21 P 0.097 0.094 0.527
22 P 0.403 0.906 0.027
23 P 0.597 0.406 0.473
24 P 0.903 0.594 0.973
25 O 0.034 0.987 0.344
26 O 0.069 0.634 0.281
27 O 0.071 0.174 0.597
28 O 0.076 0.470 0.994
29 O 0.113 0.258 0.476
30 O 0.124 0.627 0.409
31 O 0.152 0.451 0.702
32 O 0.154 0.086 0.747
33 O 0.217 0.025 0.022
34 O 0.231 0.731 0.800
35 O 0.269 0.269 0.300
36 O 0.283 0.975 0.522
37 O 0.346 0.914 0.247
38 O 0.348 0.549 0.202
39 O 0.376 0.373 0.909
40 O 0.387 0.742 0.976
41 O 0.424 0.530 0.494
42 O 0.429 0.826 0.097
43 O 0.431 0.366 0.781
44 O 0.466 0.013 0.844
45 O 0.534 0.513 0.656
46 O 0.569 0.866 0.719
47 O 0.571 0.326 0.403
48 O 0.576 0.030 0.006
49 O 0.613 0.242 0.524
50 O 0.624 0.873 0.591
51 O 0.652 0.049 0.298
52 O 0.654 0.414 0.253
53 O 0.717 0.475 0.978
54 O 0.731 0.769 0.200
55 O 0.769 0.231 0.700
56 O 0.783 0.525 0.478
57 O 0.846 0.586 0.753
58 O 0.848 0.951 0.798
59 O 0.876 0.127 0.091
60 O 0.887 0.758 0.024
61 O 0.924 0.970 0.506
62 O 0.929 0.674 0.903
63 O 0.931 0.134 0.219
64 O 0.966 0.487 0.156

(6)
Entry from the Materials Project database: a geometry-optimized Mg6AlBO8 structure (PBE).

Output
Its density is 3372 kg/m³. The formation energy comes out at -2564 meV/atom.

Lattice parameters (Å, degrees): 4.181 4.181 8.778 90.00 90.00 90.00
Fractional coordinates of all 16 atoms:
1 Mg 0.000 0.000 0.000
2 Mg 0.000 0.000 0.500
3 Mg 0.000 0.500 0.242
4 Mg 0.000 0.500 0.758
5 Mg 0.500 0.000 0.242
6 Mg 0.500 0.000 0.758
7 Al 0.500 0.500 0.500
8 B 0.500 0.500 0.000
9 O 0.000 0.000 0.249
10 O 0.000 0.000 0.751
11 O 0.000 0.500 0.000
12 O 0.000 0.500 0.500
13 O 0.500 0.000 0.000
14 O 0.500 0.000 0.500
15 O 0.500 0.500 0.293
16 O 0.500 0.500 0.707